This record from the Materials Project database describes a relaxed structure of Rh9Se20. The functional is PBE.

Lattice parameters (Å, degrees): 6.087 6.088 61.000 90.01 90.37 90.03
Space group P-1 (No. 2)
Inequivalent atoms, fractional coordinates:
Rh (0.000, 0.000, 0.000) x1
Rh (0.000, 0.000, 0.100) x2
Rh (0.000, 0.000, 0.300) x2
Rh (0.000, 0.000, 0.500) x1
Rh (0.000, 0.500, 0.050) x2
Rh (0.000, 0.500, 0.150) x2
Rh (0.001, 0.000, 0.800) x2
Rh (0.001, 0.500, 0.550) x2
Rh (0.007, 0.503, 0.250) x2
Rh (0.007, 0.504, 0.650) x2
Rh (0.008, 0.997, 0.400) x2
Rh (0.497, 0.501, 0.800) x2
Rh (0.499, 0.004, 0.750) x2
Rh (0.499, 0.505, 0.400) x2
Rh (0.499, 0.996, 0.650) x2
Rh (0.500, 0.000, 0.050) x2
Rh (0.500, 0.000, 0.150) x2
Rh (0.500, 0.500, 0.000) x1
Rh (0.500, 0.500, 0.100) x2
Rh (0.500, 0.500, 0.500) x1
Se (0.112, 0.116, 0.562) x2
Se (0.112, 0.384, 0.312) x2
Se (0.113, 0.115, 0.462) x2
Se (0.113, 0.384, 0.712) x2
Se (0.121, 0.120, 0.362) x2
Se (0.121, 0.379, 0.512) x2
Se (0.122, 0.121, 0.762) x2
Se (0.122, 0.122, 0.162) x2
Se (0.122, 0.378, 0.812) x2
Se (0.122, 0.379, 0.412) x2
Se (0.122, 0.379, 0.612) x2
Se (0.123, 0.122, 0.062) x2
Se (0.123, 0.122, 0.262) x2
Se (0.123, 0.122, 0.662) x2
Se (0.123, 0.122, 0.862) x2
Se (0.123, 0.122, 0.962) x2
Se (0.123, 0.378, 0.012) x2
Se (0.123, 0.378, 0.112) x2
Se (0.123, 0.378, 0.912) x2
Se (0.123, 0.379, 0.212) x2
Se (0.377, 0.623, 0.062) x2
Se (0.377, 0.623, 0.162) x2
Se (0.377, 0.877, 0.112) x2
Se (0.378, 0.623, 0.862) x2
Se (0.378, 0.623, 0.962) x2
Se (0.378, 0.877, 0.012) x2
Se (0.378, 0.877, 0.912) x2
Se (0.379, 0.878, 0.812) x2
Se (0.379, 0.879, 0.212) x2
Se (0.381, 0.885, 0.312) x2
Se (0.381, 0.885, 0.712) x2
Se (0.382, 0.613, 0.462) x2
Se (0.382, 0.616, 0.761) x2
Se (0.382, 0.623, 0.262) x2
Se (0.383, 0.615, 0.561) x2
Se (0.383, 0.622, 0.662) x2
Se (0.383, 0.885, 0.611) x2
Se (0.384, 0.615, 0.361) x2
Se (0.384, 0.878, 0.412) x2
Se (0.385, 0.882, 0.511) x2

## Properties
Total magnetization: 0.03 μB/f.u.
Total energy after the MP2020 corrections: -5.406 eV/atom
Formation enthalpy at 0 K: -709 meV per atom
Final energy: -147.3 eV per formula unit